Record 1
Entry from the Materials Project: an optimized crystal structure of Re2Cl5O4 (r²SCAN).

Geometry as POSCAR:
```
Re2Cl5O4
1.0
5.598 0.042 0.019
1.546 8.753 -0.061
1.685 3.965 10.333
Re Cl O
4 10 8
Cartesian
2.409 4.918 3.620 Re
4.729 11.058 8.307 Re
6.420 7.842 6.671 Re
4.100 1.703 1.984 Re
3.871 9.066 9.093 Cl
6.299 10.917 9.968 Cl
4.958 3.694 1.197 Cl
5.089 2.179 3.990 Cl
2.530 1.844 0.322 Cl
3.740 10.581 6.300 Cl
1.572 6.341 2.158 Cl
4.238 9.042 3.037 Cl
7.257 6.419 8.132 Cl
4.591 3.718 7.254 Cl
7.394 7.898 5.269 O
6.315 9.433 7.352 O
3.635 12.140 8.966 O
2.514 3.328 2.939 O
5.194 0.620 1.325 O
1.436 4.862 5.022 O
3.973 5.426 4.058 O
4.856 7.334 6.233 O
```

## Properties
Total magnetization ... 0.091 μB per atom
Energy above the most stable polymorph in this dataset ... 0.6 meV per atom
Calculated density ... 4.021 g cm⁻³

Record 2
Entry from the Materials Project: an optimized crystal structure of LiTiPd2 (r²SCAN).

Geometry as POSCAR:
```
LiTiPd2
1.0
0.000 3.064 3.064
3.064 0.000 3.064
3.064 3.064 0.000
Li Ti Pd
1 1 2
Cartesian
3.064 3.064 3.064 Li
0.000 0.000 0.000 Ti
1.532 1.532 1.532 Pd
4.596 4.596 4.596 Pd
```

## Properties
Total magnetization ... 0.000 μB per atom
Calculated density ... 7.724 g cm⁻³

Record 3
Entry from the Materials Project: an optimized crystal structure of TaAs (r²SCAN).

Geometry as POSCAR:
```
TaAs
1.0
-3.312 0.095 0.938
-0.026 -3.434 0.255
3.273 2.075 5.033
Ta As
2 2
Cartesian
0.001 0.000 0.002 Ta
-0.854 0.251 3.286 Ta
1.339 0.338 4.701 As
0.524 -1.581 2.014 As
```

## Properties
Total magnetization ... 0.000 μB per atom
Calculated density ... 12.212 g cm⁻³

Record 4
Entry from the Materials Project: an optimized crystal structure of ScSiIr (r²SCAN).

Geometry as POSCAR:
```
ScSiIr
1.0
-0.481 0.561 3.992
-0.977 -6.363 0.776
7.143 -0.975 0.998
Sc Si Ir
4 4 4
Cartesian
2.113 -0.228 1.319 Sc
0.710 -3.285 1.579 Sc
3.572 -6.550 4.447 Sc
4.975 -3.493 4.186 Sc
4.028 -2.315 1.843 Si
5.389 -5.750 2.489 Si
1.657 -4.462 3.923 Si
0.296 -1.028 3.276 Si
6.434 -1.798 2.060 Ir
3.238 -4.610 2.070 Ir
-0.749 -4.980 3.706 Ir
2.447 -2.168 3.696 Ir
```

## Properties
Total magnetization ... 0.000 μB per atom
Calculated density ... 9.196 g cm⁻³

Record 5
Entry from the Materials Project: an optimized crystal structure of SiO2 (r²SCAN).

Geometry as POSCAR:
```
SiO2
1.0
4.993 0.000 0.000
0.000 4.993 0.000
0.000 0.000 6.934
Si O
4 8
Cartesian
3.488 3.488 3.467 Si
4.001 0.992 5.200 Si
0.992 4.001 1.733 Si
1.504 1.504 0.000 Si
4.461 3.801 2.220 O
0.531 1.191 5.687 O
3.801 4.461 4.714 O
1.305 3.028 0.486 O
1.191 0.531 1.247 O
1.965 3.688 2.981 O
3.028 1.305 6.448 O
3.688 1.965 3.953 O
```

## Properties
Total magnetization ... 0.000 μB per atom
Calculated density ... 2.309 g cm⁻³

Record 6
Entry from the Materials Project: an optimized crystal structure of Ba2SnTe5 (r²SCAN).

Geometry as POSCAR:
```
Ba2SnTe5
1.0
6.971 0.000 0.000
0.000 7.073 0.000
0.000 0.000 24.618
Ba Sn Te
8 4 20
Cartesian
6.930 7.002 22.175 Ba
6.930 7.002 14.752 Ba
0.042 0.071 9.866 Ba
3.444 3.607 22.175 Ba
3.444 3.607 14.752 Ba
3.528 3.466 9.866 Ba
3.528 3.466 2.443 Ba
0.042 0.071 2.443 Ba
6.266 2.920 6.155 Sn
4.192 6.456 18.464 Sn
2.780 0.616 6.155 Sn
0.706 4.153 18.464 Sn
3.522 3.710 18.464 Te
6.936 0.174 6.155 Te
6.920 3.418 21.011 Te
2.494 1.000 24.549 Te
3.434 0.118 15.917 Te
5.980 2.536 24.549 Te
0.052 3.655 8.701 Te
0.036 6.899 18.464 Te
3.434 0.118 21.011 Te
4.478 6.073 0.070 Te
0.992 4.536 12.240 Te
3.537 6.954 3.608 Te
4.478 6.073 12.240 Te
0.052 3.655 3.608 Te
2.494 1.000 12.379 Te
3.450 3.363 6.155 Te
3.537 6.954 8.701 Te
5.980 2.536 12.379 Te
6.920 3.418 15.917 Te
0.992 4.536 0.070 Te
```

## Properties
Total magnetization ... 0.000 μB per atom
Calculated density ... 5.644 g cm⁻³

What formation energy from the elements values result from the calculations? In sequence: -1.12, -0.52, -0.62, -1.24, -3.03, -1.14 eV/atom.
What E_tot values result from the calculations? In sequence: -171.76, -63.34, -64.54, -76.26, -29.82, -213.92 eV/f.u..